# Sm6InCo2

Sm6InCo2 after structural relaxation (r2SCAN, Materials Project).

a b c (Å): 8.529 8.529 8.529
angles (deg): 112.10 108.49 107.85
Fractional positions:
1 Sm 0.026 0.233 0.794
2 Sm 0.183 0.286 0.469
3 Sm 0.183 0.714 0.897
4 Sm 0.324 0.010 0.686
5 Sm 0.324 0.638 0.314
6 Sm 0.439 0.233 0.206
7 Sm 0.561 0.767 0.794
8 Sm 0.676 0.362 0.686
9 Sm 0.676 0.990 0.314
10 Sm 0.817 0.286 0.103
11 Sm 0.817 0.714 0.531
12 Sm 0.974 0.767 0.206
13 In 0.000 0.000 0.000
14 In 0.500 0.500 0.000
15 Co 0.110 0.610 0.500
16 Co 0.340 0.000 0.340
17 Co 0.660 0.000 0.660
18 Co 0.890 0.390 0.500

Results
DFT total energy = -25.45 eV per atom